(1)
This record from the Materials Project describes an optimized crystal structure of La3Mg. The functional is r2SCAN.

Geometry as POSCAR:
```
La3Mg
1.0
-2.137 5.473 3.563
-6.734 0.329 1.324
5.949 -3.339 0.823
La Mg
3 1
Cartesian
0.167 -1.192 1.718 La
-2.377 1.595 1.367 La
-6.427 4.244 3.598 La
2.550 1.427 2.934 Mg
```

Properties
* energy relative to the elements: -0.134 eV/f.u.
* volume: 136.58 Å³/cell
* symmetry: Imm2 (44)



(2)
This record from the Materials Project describes an optimized crystal structure of La3Mg. The functional is r2SCAN.

Geometry as POSCAR:
```
La3Mg
1.0
-2.069 -7.055 -0.218
3.055 2.749 6.100
-5.197 1.464 1.943
La Mg
6 2
Cartesian
-0.582 0.090 2.612 La
0.846 1.376 5.464 La
-0.121 -1.923 5.362 La
-4.090 -0.918 2.462 La
-5.057 -4.217 2.360 La
-3.629 -2.931 5.212 La
-1.660 -3.421 2.373 Mg
-2.551 0.579 5.451 Mg
```

Properties
* energy relative to the elements: -0.126 eV/f.u.
* volume: 268.81 Å³/cell
* symmetry: P6_3/mmc (194)